This record from the Materials Project describes crystalline Li4FeP2O9 at its relaxed geometry. The functional is PBE with a Hubbard U.

a = 12.7462 Å, b = 7.1851 Å, c = 19.4449 Å
α = 90.00°, β = 97.05°, γ = 90.00°
Closest atoms and distances in Å follow each position.
Positions (direct):
O: 0.1950 0.3323 0.9081  1 P 1.54
O: 0.2740 0.2726 0.0317  1 P 1.57
P: 0.1005 0.8031 0.8344  4 O 1.54-1.58
Li: 0.8963 0.0138 0.7984  4 O 2.14-2.36
O: 0.8069 0.3606 0.3579  2 Fe 1.86-1.88
P: 0.3052 0.2755 0.7413  4 O 1.53-1.57
Li: 0.3004 0.9666 0.6428  3 O 2.09-2.28
O: 0.5188 0.2591 0.0514  1 P 1.58
P: 0.6948 0.2755 0.7587  4 O 1.53-1.57
Li: 0.1030 0.2089 0.0612  3 O 1.91-2.13
Li: 0.5000 0.4172 0.2500  6 O 2.16-2.41
Fe: 0.2986 0.4798 0.0986  6 O 1.87-2.08
Fe: 0.8993 0.4638 0.3013  6 O 1.86-2.08
P: 0.8995 0.8031 0.6656  4 O 1.54-1.58
O: 0.3996 0.6010 0.0527  2 Fe 1.87-1.88, 1 Li 2.09
O: 0.7260 0.2726 0.4683  1 P 1.57
Li: 0.9051 0.5201 0.5505  4 O 2.08-2.31
P: 0.2926 0.7439 0.4535  4 O 1.54-1.58
O: 0.1878 0.3568 0.5382  1 P 1.58
O: 0.8613 0.9579 0.4142  1 P 1.54
O: 0.4812 0.2591 0.4486  1 P 1.58
O: 0.5459 0.9994 0.8826  1 P 1.54
Li: 0.0949 0.4799 0.4495  4 O 2.08-2.31
O: 0.0000 0.7294 0.0155  1 P 1.53
Li: 0.6997 0.0463 0.1631  4 O 1.93-2.15
O: 0.8069 0.6394 0.8579  2 Fe 1.86-1.88
O: 0.5972 0.3272 0.7085  1 P 1.53
O: 0.0000 0.7294 0.4845  1 P 1.53
O: 0.0000 0.2706 0.9845  1 P 1.53
Fe: 0.1007 0.4638 0.1987  6 O 1.86-2.08
Li: 0.1037 0.9862 0.2016  4 O 2.14-2.36
Li: 0.9051 0.4799 0.0505  4 O 2.08-2.31
O: 0.6004 0.6010 0.4473  2 Fe 1.87-1.88, 1 Li 2.09
O: 0.8613 0.0421 0.9142  1 P 1.54
O: 0.7864 0.5970 0.2380  1 P 1.57
Li: 0.5131 0.7419 0.3651  3 O 1.93-2.09
P: 0.4963 0.7987 0.6264  4 O 1.53-1.58
O: 0.6728 0.3135 0.8351  1 P 1.57
Fe: 0.7014 0.5202 0.9014  6 O 1.87-2.08
O: 0.6004 0.3990 0.9473  2 Fe 1.87-1.88, 1 Li 2.09
Li: 0.9084 0.7273 0.1690  3 O 1.92-2.14
O: 0.8850 0.7554 0.7432  1 P 1.58
O: 0.4028 0.6728 0.2915  1 P 1.53
O: 0.7312 0.0701 0.7580  1 P 1.55
Li: 0.8963 0.9862 0.2984  4 O 2.14-2.36
O: 0.1878 0.6432 0.0382  1 P 1.58
Li: 0.5000 0.0000 0.0000  2 O 2.11
O: 0.5188 0.7409 0.5514  1 P 1.58
O: 0.0635 0.9932 0.3280  1 P 1.54
P: 0.3052 0.7245 0.2413  4 O 1.53-1.57
O: 0.4541 0.0006 0.1174  1 P 1.54
Li: 0.8970 0.7911 0.9388  3 O 1.91-2.13
Li: 0.0916 0.2727 0.8310  3 O 1.92-2.14
O: 0.1931 0.3606 0.1421  2 Fe 1.86-1.88
Fe: 0.2986 0.5202 0.5986  6 O 1.87-2.08
P: 0.7074 0.2561 0.5465  4 O 1.54-1.58
Li: 0.0949 0.5201 0.9495  4 O 2.08-2.31
Li: 0.4869 0.7419 0.1349  3 O 1.93-2.09
Fe: 0.8993 0.5362 0.8013  6 O 1.86-2.08
O: 0.4541 0.9994 0.6174  1 P 1.54
O: 0.4028 0.3272 0.7915  1 P 1.53
Fe: 0.7014 0.4798 0.4014  6 O 1.87-2.08
Li: 0.0916 0.7273 0.3310  3 O 1.92-2.14
P: 0.0982 0.7594 0.0681  4 O 1.53-1.58
O: 0.5906 0.6754 0.8451  1 P 1.57
O: 0.7312 0.9299 0.2580  1 P 1.55
O: 0.6143 0.3862 0.5645  1 P 1.58
O: 0.3996 0.3990 0.5527  2 Fe 1.87-1.88, 1 Li 2.09
O: 0.6728 0.6865 0.3351  1 P 1.57
O: 0.6143 0.6138 0.0645  1 P 1.58
Fe: 0.5000 0.5000 0.0000  6 O 1.88-2.00
Li: 0.7124 0.2056 0.0264  3 O 2.00-2.18
P: 0.5037 0.2013 0.3736  4 O 1.53-1.58
O: 0.1387 0.0421 0.5858  1 P 1.54
O: 0.9832 0.3234 0.1358  1 P 1.56
Li: 0.6996 0.0334 0.3572  3 O 2.09-2.28
O: 0.8050 0.6677 0.0919  1 P 1.54
O: 0.1950 0.6677 0.4081  1 P 1.54
P: 0.7074 0.7439 0.0465  4 O 1.54-1.58
O: 0.2062 0.2343 0.3793  1 P 1.54
O: 0.1150 0.2446 0.2568  1 P 1.58
O: 0.2688 0.9299 0.2420  1 P 1.55
O: 0.7864 0.4030 0.7380  1 P 1.57
O: 0.0716 0.6819 0.1401  1 P 1.58
Li: 0.2876 0.2056 0.4736  3 O 2.00-2.18
O: 0.5961 0.7666 0.6775  1 P 1.53
P: 0.5037 0.7987 0.8736  4 O 1.53-1.58
Li: 0.6966 0.4574 0.1548  5 O 2.12-2.33
O: 0.2136 0.5970 0.2620  1 P 1.57
P: 0.1005 0.1969 0.3344  4 O 1.54-1.58
Li: 0.2876 0.7944 0.9736  3 O 2.00-2.18
Li: 0.6997 0.9537 0.6631  4 O 1.93-2.15
O: 0.3242 0.0532 0.9417  1 P 1.54
O: 0.5459 0.0006 0.3826  1 P 1.54
O: 0.9365 0.9932 0.1720  1 P 1.54
Li: 0.1037 0.0138 0.7016  4 O 2.14-2.36
O: 0.0168 0.3234 0.3642  1 P 1.56
Li: 0.3034 0.4574 0.3452  5 O 2.12-2.33
O: 0.9284 0.3181 0.8599  1 P 1.58
O: 0.1150 0.7554 0.7568  1 P 1.58
O: 0.3272 0.6865 0.1649  1 P 1.57
O: 0.9365 0.0068 0.6720  1 P 1.54
O: 0.2062 0.7657 0.8793  1 P 1.54
O: 0.0000 0.2706 0.5155  1 P 1.53
O: 0.2740 0.7274 0.5317  1 P 1.57
Li: 0.9084 0.2727 0.6690  3 O 1.92-2.14
Li: 0.8970 0.2089 0.4388  3 O 1.91-2.13
Li: 0.6966 0.5426 0.6548  5 O 2.12-2.33
O: 0.9832 0.6766 0.6358  1 P 1.56
P: 0.8995 0.1969 0.1656  4 O 1.54-1.58
O: 0.4039 0.2334 0.3225  1 P 1.53
Li: 0.3004 0.0334 0.1428  3 O 2.09-2.28
Li: 0.4869 0.2581 0.6349  3 O 1.93-2.09
O: 0.8850 0.2446 0.2432  1 P 1.58
O: 0.4812 0.7409 0.9486  1 P 1.58
O: 0.5906 0.3246 0.3451  1 P 1.57
Li: 0.3003 0.0463 0.3369  4 O 1.93-2.15
O: 0.4094 0.3246 0.1549  1 P 1.57
O: 0.6758 0.0532 0.5583  1 P 1.54
O: 0.1931 0.6394 0.6421  2 Fe 1.86-1.88
P: 0.2926 0.2561 0.9535  4 O 1.54-1.58
O: 0.2688 0.0701 0.7420  1 P 1.55
O: 0.8050 0.3323 0.5919  1 P 1.54
P: 0.9018 0.7594 0.4319  4 O 1.53-1.58
P: 0.9018 0.2406 0.9319  4 O 1.53-1.58
Li: 0.1030 0.7911 0.5612  3 O 1.91-2.13
O: 0.0716 0.3181 0.6401  1 P 1.58
Li: 0.5000 0.0000 0.5000  2 O 2.11
O: 0.8122 0.3568 0.9618  1 P 1.58
O: 0.0000 0.4256 0.7500  2 Fe 1.89
P: 0.0982 0.2406 0.5681  4 O 1.53-1.58
O: 0.3857 0.3862 0.9355  1 P 1.58
O: 0.3242 0.9468 0.4417  1 P 1.54
P: 0.6948 0.7245 0.2587  4 O 1.53-1.57
O: 0.3272 0.3135 0.6649  1 P 1.57
O: 0.6758 0.9468 0.0583  1 P 1.54
O: 0.7260 0.7274 0.9683  1 P 1.57
O: 0.9284 0.6819 0.3599  1 P 1.58
O: 0.8122 0.6432 0.4618  1 P 1.58
Li: 0.6996 0.9666 0.8572  3 O 2.09-2.28
Li: 0.3034 0.5426 0.8452  5 O 2.12-2.33
Li: 0.3003 0.9537 0.8369  4 O 1.93-2.15
O: 0.0635 0.0068 0.8280  1 P 1.54
O: 0.5961 0.2334 0.1775  1 P 1.53
O: 0.7938 0.7657 0.6207  1 P 1.54
Li: 0.5000 0.5828 0.7500  6 O 2.16-2.41
O: 0.5972 0.6728 0.2085  1 P 1.53
O: 0.1387 0.9579 0.0858  1 P 1.54
P: 0.4963 0.2013 0.1264  4 O 1.53-1.58
Li: 0.5131 0.2581 0.8651  3 O 1.93-2.09
O: 0.7938 0.2343 0.1207  1 P 1.54
Li: 0.7124 0.7944 0.5264  3 O 2.00-2.18
O: 0.0000 0.5744 0.2500  2 Fe 1.89
O: 0.4039 0.7666 0.8225  1 P 1.53
Fe: 0.1007 0.5362 0.6987  6 O 1.86-2.08
Fe: 0.5000 0.5000 0.5000  6 O 1.88-2.00
O: 0.2136 0.4030 0.7620  1 P 1.57
O: 0.3857 0.6138 0.4355  1 P 1.58
O: 0.4094 0.6754 0.6549  1 P 1.57
O: 0.0168 0.6766 0.8642  1 P 1.56

Summary:
The calculation puts the formation enthalpy at 0 K at -2.43 eV/atom. For the distance to the lowest polymorph of the same formula, the calculation gives 0.018 eV per atom. For the density, the calculation gives 2.720 g/cm3. For the energy, the calculation gives -6.37 eV/atom.